A plane-wave DFT calculation with PBE was carried out for a relaxed Ce3AsS3 crystal.

Cell and atoms, written as CIF:
```
data_Ce3AsS3
_space_group_name_H-M_alt 'P 1'
_space_group_IT_number 1
_cell_length_a 7.460
_cell_length_b 7.460
_cell_length_c 7.409
_cell_angle_alpha 70.51
_cell_angle_beta 70.51
_cell_angle_gamma 109.71
loop_
_space_group_symop_operation_xyz
'x,y,z'
loop_
_atom_site_label
_atom_site_fract_x
_atom_site_fract_y
_atom_site_fract_z
S1 0.500 0.350 0.001
As1 0.500 0.846 0.000
S2 0.001 0.001 0.649
Ce1 0.126 0.370 0.250
As2 0.846 0.500 0.500
Ce2 0.750 0.624 0.123
Ce3 0.370 0.126 0.750
Ce4 0.880 0.253 0.877
S3 0.149 0.651 0.850
Ce5 0.253 0.880 0.377
S4 0.350 0.500 0.501
Ce6 0.624 0.750 0.623
S5 0.001 0.001 0.149
S6 0.651 0.149 0.350
```

Summary:
- SG = Cc (9)
- E_form (eV/atom) = -2.050



A plane-wave DFT calculation with PBE was carried out for a relaxed Ce3AsS3 crystal.

Cell and atoms, written as CIF:
```
data_Ce3AsS3
_space_group_name_H-M_alt 'P 1'
_space_group_IT_number 1
_cell_length_a 8.628
_cell_length_b 8.628
_cell_length_c 8.628
_cell_angle_alpha 90.00
_cell_angle_beta 90.00
_cell_angle_gamma 90.00
loop_
_space_group_symop_operation_xyz
'x,y,z'
loop_
_atom_site_label
_atom_site_fract_x
_atom_site_fract_y
_atom_site_fract_z
S1 0.926 0.574 0.426
Ce1 0.002 0.749 0.125
S2 0.325 0.675 0.175
S3 0.925 0.425 0.075
S4 0.574 0.426 0.926
Ce2 0.998 0.249 0.375
Ce3 0.875 0.502 0.751
Ce4 0.249 0.375 0.998
Ce5 0.125 0.002 0.749
Ce6 0.375 0.998 0.249
Ce7 0.749 0.125 0.002
S5 0.175 0.325 0.675
S6 0.675 0.175 0.325
S7 0.426 0.926 0.574
As1 0.326 0.326 0.326
As2 0.174 0.674 0.826
Ce8 0.498 0.251 0.625
S8 0.425 0.075 0.925
S9 0.575 0.575 0.575
As3 0.826 0.174 0.674
Ce9 0.502 0.751 0.875
S10 0.075 0.925 0.425
Ce10 0.251 0.625 0.498
S11 0.825 0.825 0.825
As4 0.674 0.826 0.174
S12 0.074 0.074 0.074
Ce11 0.751 0.875 0.502
Ce12 0.625 0.498 0.251
```

Summary:
- SG = P2_13 (198)
- E_form (eV/atom) = -2.051



A plane-wave DFT calculation with PBE was carried out for a relaxed Ce3SbAs2 crystal.

Cell and atoms, written as CIF:
```
data_Ce3SbAs2
_space_group_name_H-M_alt 'P 1'
_space_group_IT_number 1
_cell_length_a 7.491
_cell_length_b 7.491
_cell_length_c 7.491
_cell_angle_alpha 146.70
_cell_angle_beta 131.80
_cell_angle_gamma 59.85
loop_
_space_group_symop_operation_xyz
'x,y,z'
loop_
_atom_site_label
_atom_site_fract_x
_atom_site_fract_y
_atom_site_fract_z
Sb1 0.500 0.000 0.500
Ce1 0.678 0.678 0.000
Ce2 0.000 0.000 0.000
As1 0.838 0.338 0.500
Ce3 0.322 0.322 0.000
As2 0.162 0.662 0.500
```

Summary:
- SG = Immm (71)
- E_form (eV/atom) = -1.279



A plane-wave DFT calculation with PBE was carried out for a relaxed Cs3As2Cl9 crystal.

Cell and atoms, written as CIF:
```
data_Cs3As2Cl9
_space_group_name_H-M_alt 'P 1'
_space_group_IT_number 1
_cell_length_a 7.607
_cell_length_b 7.606
_cell_length_c 9.219
_cell_angle_alpha 90.00
_cell_angle_beta 90.00
_cell_angle_gamma 120.00
loop_
_space_group_symop_operation_xyz
'x,y,z'
loop_
_atom_site_label
_atom_site_fract_x
_atom_site_fract_y
_atom_site_fract_z
Cl1 0.632 0.816 0.679
Cl2 0.184 0.368 0.679
Cl3 0.000 0.499 0.000
Cl4 0.816 0.632 0.321
As1 0.667 0.333 0.180
Cs1 0.667 0.333 0.680
Cs2 0.000 0.000 0.000
As2 0.333 0.667 0.820
Cl5 0.368 0.184 0.321
Cl6 0.501 0.501 0.000
Cs3 0.333 0.667 0.320
Cl7 0.184 0.816 0.679
Cl8 0.816 0.184 0.321
Cl9 0.499 0.000 0.000
```

Summary:
- SG = P-3m1 (164)
- E_form (eV/atom) = -1.707



A plane-wave DFT calculation with PBE was carried out for a relaxed Cs3As2Cl9 crystal.

Cell and atoms, written as CIF:
```
data_Cs3As2Cl9
_space_group_name_H-M_alt 'P 1'
_space_group_IT_number 1
_cell_length_a 7.568
_cell_length_b 7.568
_cell_length_c 9.139
_cell_angle_alpha 90.00
_cell_angle_beta 90.00
_cell_angle_gamma 120.00
loop_
_space_group_symop_operation_xyz
'x,y,z'
loop_
_atom_site_label
_atom_site_fract_x
_atom_site_fract_y
_atom_site_fract_z
Cl1 0.632 0.827 0.676
Cl2 0.173 0.805 0.676
Cl3 0.484 0.000 0.000
As1 0.333 0.667 0.817
Cs1 0.667 0.333 0.680
Cl4 0.195 0.368 0.676
Cl5 0.827 0.632 0.324
As2 0.667 0.333 0.183
Cs2 0.333 0.667 0.320
Cl6 0.805 0.173 0.324
Cl7 0.516 0.516 0.000
Cl8 0.000 0.484 0.000
Cs3 0.000 0.000 0.000
Cl9 0.368 0.195 0.324
```

Summary:
- SG = P321 (150)
- E_form (eV/atom) = -1.706



A plane-wave DFT calculation with PBE was carried out for a relaxed Cs2CuAsCl6 crystal.

Cell and atoms, written as CIF:
```
data_Cs2CuAsCl6
_space_group_name_H-M_alt 'P 1'
_space_group_IT_number 1
_cell_length_a 7.253
_cell_length_b 7.253
_cell_length_c 7.253
_cell_angle_alpha 60.00
_cell_angle_beta 60.00
_cell_angle_gamma 60.00
loop_
_space_group_symop_operation_xyz
'x,y,z'
loop_
_atom_site_label
_atom_site_fract_x
_atom_site_fract_y
_atom_site_fract_z
Cu1 0.500 0.500 0.500
Cl1 0.250 0.750 0.750
Cl2 0.250 0.250 0.750
Cl3 0.250 0.750 0.250
Cs1 0.750 0.750 0.750
Cl4 0.750 0.250 0.250
As1 0.000 0.000 0.000
Cl5 0.750 0.750 0.250
Cl6 0.750 0.250 0.750
Cs2 0.250 0.250 0.250
```

Summary:
- SG = Fm-3m (225)
- E_form (eV/atom) = -1.520



A plane-wave DFT calculation with PBE was carried out for a relaxed Cs2HgAsCl6 crystal.

Cell and atoms, written as CIF:
```
data_Cs2HgAsCl6
_space_group_name_H-M_alt 'P 1'
_space_group_IT_number 1
_cell_length_a 7.673
_cell_length_b 7.673
_cell_length_c 7.673
_cell_angle_alpha 60.00
_cell_angle_beta 60.00
_cell_angle_gamma 60.00
loop_
_space_group_symop_operation_xyz
'x,y,z'
loop_
_atom_site_label
_atom_site_fract_x
_atom_site_fract_y
_atom_site_fract_z
Cs1 0.750 0.750 0.750
Cs2 0.250 0.250 0.250
Cl1 0.768 0.232 0.768
As1 0.000 0.000 0.000
Cl2 0.232 0.232 0.768
Cl3 0.232 0.768 0.232
Cl4 0.768 0.232 0.232
Cl5 0.768 0.768 0.232
Hg1 0.500 0.500 0.500
Cl6 0.232 0.768 0.768
```

Summary:
- SG = Fm-3m (225)
- E_form (eV/atom) = -1.526



A plane-wave DFT calculation with PBE was carried out for a relaxed Cs2InAsCl6 crystal.

Cell and atoms, written as CIF:
```
data_Cs2InAsCl6
_space_group_name_H-M_alt 'P 1'
_space_group_IT_number 1
_cell_length_a 7.793
_cell_length_b 7.793
_cell_length_c 7.793
_cell_angle_alpha 60.00
_cell_angle_beta 60.00
_cell_angle_gamma 60.00
loop_
_space_group_symop_operation_xyz
'x,y,z'
loop_
_atom_site_label
_atom_site_fract_x
_atom_site_fract_y
_atom_site_fract_z
In1 0.500 0.500 0.500
Cl1 0.770 0.770 0.230
Cs1 0.750 0.750 0.750
Cl2 0.770 0.230 0.230
As1 0.000 0.000 0.000
Cl3 0.230 0.770 0.770
Cl4 0.230 0.770 0.230
Cl5 0.230 0.230 0.770
Cl6 0.770 0.230 0.770
Cs2 0.250 0.250 0.250
```

Summary:
- SG = Fm-3m (225)
- E_form (eV/atom) = -1.643



A plane-wave DFT calculation with PBE was carried out for a relaxed Cs2KAsCl6 crystal.

Cell and atoms, written as CIF:
```
data_Cs2KAsCl6
_space_group_name_H-M_alt 'P 1'
_space_group_IT_number 1
_cell_length_a 7.843
_cell_length_b 7.843
_cell_length_c 7.843
_cell_angle_alpha 60.00
_cell_angle_beta 60.00
_cell_angle_gamma 60.00
loop_
_space_group_symop_operation_xyz
'x,y,z'
loop_
_atom_site_label
_atom_site_fract_x
_atom_site_fract_y
_atom_site_fract_z
Cl1 0.773 0.227 0.773
K1 0.500 0.500 0.500
Cl2 0.773 0.773 0.227
Cs1 0.750 0.750 0.750
Cl3 0.227 0.773 0.227
Cl4 0.227 0.227 0.773
Cs2 0.250 0.250 0.250
Cl5 0.227 0.773 0.773
As1 0.000 0.000 0.000
Cl6 0.773 0.227 0.227
```

Summary:
- SG = Fm-3m (225)
- E_form (eV/atom) = -1.851



A plane-wave DFT calculation with PBE was carried out for a relaxed CsK2AsCl6 crystal.

Cell and atoms, written as CIF:
```
data_CsK2AsCl6
_space_group_name_H-M_alt 'P 1'
_space_group_IT_number 1
_cell_length_a 8.102
_cell_length_b 8.102
_cell_length_c 8.102
_cell_angle_alpha 60.00
_cell_angle_beta 60.00
_cell_angle_gamma 60.00
loop_
_space_group_symop_operation_xyz
'x,y,z'
loop_
_atom_site_label
_atom_site_fract_x
_atom_site_fract_y
_atom_site_fract_z
Cs1 0.500 0.500 0.500
Cl1 0.219 0.781 0.219
Cl2 0.781 0.219 0.219
Cl3 0.219 0.781 0.781
Cl4 0.781 0.781 0.219
Cl5 0.781 0.219 0.781
As1 0.000 0.000 0.000
K1 0.750 0.750 0.750
Cl6 0.219 0.219 0.781
K2 0.250 0.250 0.250
```

Summary:
- SG = Fm-3m (225)
- E_form (eV/atom) = -1.719



A plane-wave DFT calculation with PBE was carried out for a relaxed CuHg3As2Cl3 crystal.

Cell and atoms, written as CIF:
```
data_CuHg3As2Cl3
_space_group_name_H-M_alt 'P 1'
_space_group_IT_number 1
_cell_length_a 13.478
_cell_length_b 13.478
_cell_length_c 15.171
_cell_angle_alpha 58.14
_cell_angle_beta 58.14
_cell_angle_gamma 40.14
loop_
_space_group_symop_operation_xyz
'x,y,z'
loop_
_atom_site_label
_atom_site_fract_x
_atom_site_fract_y
_atom_site_fract_z
Hg1 0.203 0.797 0.750
Cu1 0.330 0.670 0.250
Hg2 0.500 0.500 0.000
As1 0.871 0.590 0.554
As2 0.543 0.256 0.552
Hg3 0.173 0.166 0.497
Cl1 0.105 0.137 0.246
Hg4 0.000 0.000 0.500
Cl2 0.137 0.407 0.745
Cl3 0.323 0.785 0.085
As3 0.200 0.933 0.553
Cu2 0.050 0.610 0.773
Cl4 0.863 0.895 0.254
Hg5 0.827 0.834 0.503
As4 0.410 0.129 0.946
Hg6 0.541 0.122 0.749
Cl5 0.677 0.215 0.915
Cu3 0.950 0.390 0.227
Cl6 0.137 0.105 0.746
Hg7 0.338 0.333 0.497
Hg8 0.166 0.173 0.997
As5 0.129 0.410 0.446
Hg9 0.459 0.878 0.251
Cl7 0.593 0.863 0.755
Cu4 0.610 0.050 0.273
Cl8 0.215 0.677 0.415
Cl9 0.502 0.344 0.250
Hg10 0.878 0.459 0.751
Cl10 0.000 0.500 0.000
Cl11 0.863 0.593 0.255
Cl12 0.895 0.863 0.754
Cu5 0.670 0.330 0.750
Cl13 0.498 0.656 0.750
Hg11 0.122 0.541 0.249
As6 0.800 0.067 0.447
Cu6 0.390 0.950 0.727
Hg12 0.667 0.662 0.003
Cl14 0.344 0.502 0.750
As7 0.933 0.200 0.053
Cl15 0.656 0.498 0.250
Hg13 0.500 0.500 0.500
As8 0.457 0.744 0.448
Cl16 0.785 0.323 0.585
As9 0.744 0.457 0.948
Hg14 0.662 0.667 0.503
Hg15 0.000 0.000 0.000
Hg16 0.834 0.827 0.003
Hg17 0.333 0.338 0.997
As10 0.256 0.543 0.052
As11 0.067 0.800 0.947
As12 0.590 0.871 0.054
Cl17 0.500 0.000 0.500
Cl18 0.407 0.137 0.245
Hg18 0.797 0.203 0.250
```

Summary:
- SG = C2/c (15)
- E_form (eV/atom) = -0.551



A plane-wave DFT calculation with PBE was carried out for a relaxed La5Cu4As4Cl2O4 crystal.

Cell and atoms, written as CIF:
```
data_La5Cu4As4Cl2O4
_space_group_name_H-M_alt 'P 1'
_space_group_IT_number 1
_cell_length_a 4.132
_cell_length_b 4.132
_cell_length_c 21.208
_cell_angle_alpha 95.59
_cell_angle_beta 95.59
_cell_angle_gamma 90.00
loop_
_space_group_symop_operation_xyz
'x,y,z'
loop_
_atom_site_label
_atom_site_fract_x
_atom_site_fract_y
_atom_site_fract_z
As1 0.904 0.904 0.808
Cl1 0.728 0.728 0.457
Cl2 0.272 0.272 0.543
O1 0.167 0.667 0.334
La1 0.196 0.196 0.392
O2 0.833 0.333 0.666
La2 0.361 0.361 0.723
Cu1 0.065 0.565 0.129
As2 0.470 0.470 0.939
O3 0.333 0.833 0.666
La3 0.000 0.000 0.000
Cu2 0.435 0.935 0.871
La4 0.804 0.804 0.608
As3 0.530 0.530 0.061
Cu3 0.935 0.435 0.871
Cu4 0.565 0.065 0.129
La5 0.639 0.639 0.277
O4 0.667 0.167 0.334
As4 0.096 0.096 0.192
```

Summary:
- SG = I4/mmm (139)
- E_form (eV/atom) = -2.088